This record from the Materials Project database describes a relaxed Co3ReB4 crystal. The functional is GGA-PBE.

Computed properties:
The value obtained for the formation energy is -303 meV/atom. Its magnetization is 0.00 μB per cell. For the volume, the calculation gives 68 Å³ per cell.

Cell lengths 4.1260, 3.0320, 5.4148 Å; angles 90.00, 91.41, 90.00 degrees
Closest atoms and distances in Å follow each position.
Positions (direct):
1 Co 0.0000 0.0000 0.0000  7 B 2.13-2.34
2 Co 0.2444 0.0000 0.4938  7 B 2.07-2.28
3 Co 0.7426 0.5000 0.3472  7 B 2.11-2.18
4 Re 0.5034 0.5000 0.8530  7 B 2.22-2.28
5 B 0.0012 0.5000 0.6941  2 B 1.82
6 B 0.2397 0.5000 0.2184  2 B 1.84
7 B 0.4783 0.0000 0.1593  2 B 1.84
8 B 0.7729 0.0000 0.6240  2 B 1.82

This record from the Materials Project database describes a relaxed Zn10CoB8Rh18 crystal. The functional is GGA-PBE.

Computed properties:
The value obtained for the formation energy is -386 meV/atom. Its magnetization is 6.13 μB per cell. For the volume, the calculation gives 924 Å³ per cell.

Cell lengths 17.9142, 17.9142, 2.8787 Å; angles 90.00, 90.00, 90.00 degrees
Closest atoms and distances in Å follow each position.
Positions (direct):
1 Zn 0.0318 0.1875 0.0000  3 B 2.67-2.91, 10 Rh 2.74-2.88, 2 Zn 2.88
2 Zn 0.0501 0.4499 0.0000  1 Zn 2.54, 2 B 2.62, 8 Rh 2.65-2.84
3 Zn 0.1689 0.3311 0.0000  8 Rh 2.59-2.61, 2 Zn 2.88
4 Zn 0.1875 0.9682 0.0000  3 B 2.67-2.91, 10 Rh 2.74-2.88, 2 Zn 2.88
5 Zn 0.2094 0.7094 0.0000  8 Rh 2.69-2.75, 2 B 2.70, 2 Zn 2.88
6 Zn 0.2906 0.2094 0.0000  8 Rh 2.69-2.75, 2 B 2.70, 2 Zn 2.88
7 Zn 0.3125 0.4682 0.0000  3 B 2.67-2.91, 10 Rh 2.74-2.88, 2 Zn 2.88
8 Zn 0.3311 0.8311 0.0000  8 Rh 2.59-2.61, 2 Zn 2.88
9 Zn 0.4499 0.9499 0.0000  1 Zn 2.54, 2 B 2.62, 8 Rh 2.65-2.84
10 Zn 0.4682 0.6875 0.0000  3 B 2.67-2.91, 10 Rh 2.74-2.88, 2 Zn 2.88
11 Zn 0.5318 0.3125 0.0000  3 B 2.67-2.91, 10 Rh 2.74-2.88, 2 Zn 2.88
12 Zn 0.5501 0.0501 0.0000  1 Zn 2.54, 2 B 2.62, 8 Rh 2.65-2.84
13 Zn 0.6689 0.1689 0.0000  8 Rh 2.59-2.61, 2 Zn 2.88
14 Zn 0.6875 0.5318 0.0000  3 B 2.67-2.91, 10 Rh 2.74-2.88, 2 Zn 2.88
15 Zn 0.7094 0.7906 0.0000  8 Rh 2.69-2.75, 2 B 2.70, 2 Zn 2.88
16 Zn 0.7906 0.2906 0.0000  8 Rh 2.69-2.75, 2 B 2.70, 2 Zn 2.88
17 Zn 0.8125 0.0318 0.0000  3 B 2.67-2.91, 10 Rh 2.74-2.88, 2 Zn 2.88
18 Zn 0.8311 0.6689 0.0000  8 Rh 2.59-2.61, 2 Zn 2.88
19 Zn 0.9499 0.5501 0.0000  1 Zn 2.54, 2 B 2.62, 8 Rh 2.65-2.84
20 Zn 0.9682 0.8125 0.0000  3 B 2.67-2.91, 10 Rh 2.74-2.88, 2 Zn 2.88
21 Co 0.0000 0.0000 0.0000  8 Rh 2.58, 2 Co 2.88
22 Co 0.5000 0.5000 0.0000  8 Rh 2.58, 2 Co 2.88
23 B 0.0388 0.6659 0.0000  6 Rh 2.12-2.22
24 B 0.1241 0.8334 0.0000  6 Rh 2.12-2.24
25 B 0.1659 0.5388 0.0000  6 Rh 2.12-2.22
26 B 0.1666 0.1241 0.0000  6 Rh 2.12-2.24
27 B 0.3334 0.6241 0.0000  6 Rh 2.12-2.24
28 B 0.3341 0.0388 0.0000  6 Rh 2.12-2.22
29 B 0.3759 0.3334 0.0000  6 Rh 2.12-2.24
30 B 0.4612 0.1659 0.0000  6 Rh 2.12-2.22
31 B 0.5388 0.8341 0.0000  6 Rh 2.12-2.22
32 B 0.6241 0.6666 0.0000  6 Rh 2.12-2.24
33 B 0.6659 0.9612 0.0000  6 Rh 2.12-2.22
34 B 0.6666 0.3759 0.0000  6 Rh 2.12-2.24
35 B 0.8334 0.8759 0.0000  6 Rh 2.12-2.24
36 B 0.8341 0.4612 0.0000  6 Rh 2.12-2.22
37 B 0.8759 0.1666 0.0000  6 Rh 2.12-2.24
38 B 0.9612 0.3341 0.0000  6 Rh 2.12-2.22
39 Rh 0.0478 0.3261 0.5000  2 B 2.12
40 Rh 0.0668 0.9012 0.5000  2 B 2.15
41 Rh 0.0825 0.5825 0.5000  4 B 2.22
42 Rh 0.0876 0.7448 0.5000  4 B 2.20-2.24
43 Rh 0.0988 0.0668 0.5000  2 B 2.15
44 Rh 0.1597 0.2109 0.5000  2 B 2.12
45 Rh 0.1739 0.4522 0.5000  2 B 2.12
46 Rh 0.2109 0.8403 0.5000  2 B 2.12
47 Rh 0.2448 0.5876 0.5000  4 B 2.20-2.24
48 Rh 0.2552 0.0876 0.5000  4 B 2.20-2.24
49 Rh 0.2891 0.3403 0.5000  2 B 2.12
50 Rh 0.3261 0.9522 0.5000  2 B 2.12
51 Rh 0.3403 0.7109 0.5000  2 B 2.12
52 Rh 0.4012 0.5668 0.5000  2 B 2.15
53 Rh 0.4124 0.2448 0.5000  4 B 2.20-2.24
54 Rh 0.4175 0.0825 0.5000  4 B 2.22
55 Rh 0.4332 0.4012 0.5000  2 B 2.15
56 Rh 0.4522 0.8261 0.5000  2 B 2.12
57 Rh 0.5478 0.1739 0.5000  2 B 2.12
58 Rh 0.5668 0.5988 0.5000  2 B 2.15
59 Rh 0.5825 0.9175 0.5000  4 B 2.22
60 Rh 0.5876 0.7552 0.5000  4 B 2.20-2.24
61 Rh 0.5988 0.4332 0.5000  2 B 2.15
62 Rh 0.6597 0.2891 0.5000  2 B 2.12
63 Rh 0.6739 0.0478 0.5000  2 B 2.12
64 Rh 0.7109 0.6597 0.5000  2 B 2.12
65 Rh 0.7448 0.9124 0.5000  4 B 2.20-2.24
66 Rh 0.7552 0.4124 0.5000  4 B 2.20-2.24
67 Rh 0.7891 0.1597 0.5000  2 B 2.12
68 Rh 0.8261 0.5478 0.5000  2 B 2.12
69 Rh 0.8403 0.7891 0.5000  2 B 2.12
70 Rh 0.9012 0.9332 0.5000  2 B 2.15
71 Rh 0.9124 0.2552 0.5000  4 B 2.20-2.24
72 Rh 0.9175 0.4175 0.5000  4 B 2.22
73 Rh 0.9332 0.0988 0.5000  2 B 2.15
74 Rh 0.9522 0.6739 0.5000  2 B 2.12

This record from the Materials Project database describes a relaxed Ti9Co2B8Ru18 crystal. The functional is GGA-PBE.

Computed properties:
The value obtained for the formation energy is -529 meV/atom. Its magnetization is 7.65 μB per cell. For the volume, the calculation gives 928 Å³ per cell.

Cell lengths 17.6102, 17.6102, 2.9924 Å; angles 90.00, 90.00, 90.00 degrees
Closest atoms and distances in Å follow each position.
Positions (direct):
1 Ti 0.0000 0.0000 0.0000  8 Ru 2.59
2 Ti 0.0349 0.1858 0.0000  3 B 2.64-2.94, 8 Ru 2.77-2.83
3 Ti 0.1719 0.3281 0.0000  8 Ru 2.55-2.60
4 Ti 0.1858 0.9651 0.0000  3 B 2.64-2.94, 8 Ru 2.77-2.83
5 Ti 0.1963 0.6963 0.0000  8 Ru 2.67-2.83, 4 B 2.70-2.86
6 Ti 0.3037 0.1963 0.0000  8 Ru 2.67-2.83, 4 B 2.70-2.86
7 Ti 0.3142 0.4651 0.0000  3 B 2.64-2.94, 8 Ru 2.77-2.83
8 Ti 0.3281 0.8281 0.0000  8 Ru 2.55-2.60
9 Ti 0.4651 0.6858 0.0000  3 B 2.64-2.94, 8 Ru 2.77-2.83
10 Ti 0.5000 0.5000 0.0000  8 Ru 2.59
11 Ti 0.5349 0.3142 0.0000  3 B 2.64-2.94, 8 Ru 2.77-2.83
12 Ti 0.6719 0.1719 0.0000  8 Ru 2.55-2.60
13 Ti 0.6858 0.5349 0.0000  3 B 2.64-2.94, 8 Ru 2.77-2.83
14 Ti 0.6963 0.8037 0.0000  8 Ru 2.67-2.83, 4 B 2.70-2.86
15 Ti 0.8037 0.3037 0.0000  8 Ru 2.67-2.83, 4 B 2.70-2.86
16 Ti 0.8142 0.0349 0.0000  3 B 2.64-2.94, 8 Ru 2.77-2.83
17 Ti 0.8281 0.6719 0.0000  8 Ru 2.55-2.60
18 Ti 0.9651 0.8142 0.0000  3 B 2.64-2.94, 8 Ru 2.77-2.83
19 Co 0.0489 0.4511 0.0000  1 Co 2.44, 2 B 2.52, 4 Ru 2.57
20 Co 0.4511 0.9511 0.0000  1 Co 2.44, 2 B 2.52, 4 Ru 2.57
21 Co 0.5489 0.0489 0.0000  1 Co 2.44, 2 B 2.52, 4 Ru 2.57
22 Co 0.9511 0.5489 0.0000  1 Co 2.44, 2 B 2.52, 4 Ru 2.57
23 B 0.0373 0.6634 0.0000  6 Ru 2.16-2.22
24 B 0.1212 0.8300 0.0000  6 Ru 2.16-2.23
25 B 0.1634 0.5373 0.0000  6 Ru 2.16-2.22
26 B 0.1700 0.1212 0.0000  6 Ru 2.16-2.23
27 B 0.3300 0.6212 0.0000  6 Ru 2.16-2.23
28 B 0.3366 0.0373 0.0000  6 Ru 2.16-2.22
29 B 0.3788 0.3300 0.0000  6 Ru 2.16-2.23
30 B 0.4627 0.1634 0.0000  6 Ru 2.16-2.22
31 B 0.5373 0.8366 0.0000  6 Ru 2.16-2.22
32 B 0.6212 0.6700 0.0000  6 Ru 2.16-2.23
33 B 0.6634 0.9627 0.0000  6 Ru 2.16-2.22
34 B 0.6700 0.3788 0.0000  6 Ru 2.16-2.23
35 B 0.8300 0.8788 0.0000  6 Ru 2.16-2.23
36 B 0.8366 0.4627 0.0000  6 Ru 2.16-2.22
37 B 0.8788 0.1700 0.0000  6 Ru 2.16-2.23
38 B 0.9627 0.3366 0.0000  6 Ru 2.16-2.22
39 Ru 0.0513 0.3322 0.5000  2 B 2.16
40 Ru 0.0697 0.9022 0.5000  2 B 2.16
41 Ru 0.0813 0.5813 0.5000  4 B 2.22
42 Ru 0.0807 0.7452 0.5000  4 B 2.21-2.23
43 Ru 0.0978 0.0697 0.5000  2 B 2.16
44 Ru 0.1679 0.2111 0.5000  2 B 2.18
45 Ru 0.1678 0.4487 0.5000  2 B 2.16
46 Ru 0.2111 0.8321 0.5000  2 B 2.18
47 Ru 0.2452 0.5807 0.5000  4 B 2.21-2.23
48 Ru 0.2548 0.0807 0.5000  4 B 2.21-2.23
49 Ru 0.2889 0.3321 0.5000  2 B 2.18
50 Ru 0.3321 0.7111 0.5000  2 B 2.18
51 Ru 0.3322 0.9487 0.5000  2 B 2.16
52 Ru 0.4022 0.5697 0.5000  2 B 2.16
53 Ru 0.4187 0.0813 0.5000  4 B 2.22
54 Ru 0.4193 0.2452 0.5000  4 B 2.21-2.23
55 Ru 0.4303 0.4022 0.5000  2 B 2.16
56 Ru 0.4487 0.8322 0.5000  2 B 2.16
57 Ru 0.5513 0.1678 0.5000  2 B 2.16
58 Ru 0.5697 0.5978 0.5000  2 B 2.16
59 Ru 0.5807 0.7548 0.5000  4 B 2.21-2.23
60 Ru 0.5813 0.9187 0.5000  4 B 2.22
61 Ru 0.5978 0.4303 0.5000  2 B 2.16
62 Ru 0.6678 0.0513 0.5000  2 B 2.16
63 Ru 0.6679 0.2889 0.5000  2 B 2.18
64 Ru 0.7111 0.6679 0.5000  2 B 2.18
65 Ru 0.7452 0.9193 0.5000  4 B 2.21-2.23
66 Ru 0.7548 0.4193 0.5000  4 B 2.21-2.23
67 Ru 0.7889 0.1679 0.5000  2 B 2.18
68 Ru 0.8322 0.5513 0.5000  2 B 2.16
69 Ru 0.8321 0.7889 0.5000  2 B 2.18
70 Ru 0.9022 0.9303 0.5000  2 B 2.16
71 Ru 0.9193 0.2548 0.5000  4 B 2.21-2.23
72 Ru 0.9187 0.4187 0.5000  4 B 2.22
73 Ru 0.9303 0.0978 0.5000  2 B 2.16
74 Ru 0.9487 0.6678 0.5000  2 B 2.16

Question: Which of these has the highest magnetization?
Answer: Ti9Co2B8Ru18

Question: Which value of magnetization does entry 3 give?
Answer: 7.65 μB per cell

Question: Among the records above, which one has the lowest magnetization?
Answer: Co3ReB4

Question: The highest magnetization belongs to which entry?
Answer: Ti9Co2B8Ru18